# 1
A relaxed NaMgFeO2 crystal, computed with GGA+U.

a = 6.141 Å, b = 5.397 Å, c = 5.744 Å
α = 90.00°, β = 96.54°, γ = 90.00°
Space group C2/m (No. 12)
Asymmetric unit:
Na: 0.000 0.000 0.000
Mg: 0.000 0.500 0.000
Fe: 0.000 0.500 0.500
O: 0.194 0.500 0.775

Formation enthalpy at 0 K in meV/atom: -1029
Energy above the lowest structure with this stoichiometry in eV per atom: 0.583
DFT total energy in eV for the cell shown: -45.61
E (MP2020) in eV for the cell shown: -52.872

=====

# 2
A relaxed Na4MgFeP3O12 crystal, computed with GGA+U.

a = 8.9679 Å, b = 8.9679 Å, c = 21.6870 Å
α = 90.00°, β = 90.00°, γ = 120.00°
Space group R3c (No. 161, hexagonal axes)
Asymmetric unit:
Na: 0.0000 0.0000 0.0000
Na: 0.0336 0.3379 0.0840
Mg: 0.0000 0.0000 0.3530
Fe: 0.0000 0.0000 0.1517
P: 0.0020 0.2976 0.2530
O: 0.0136 0.1892 0.9154
O: 0.0255 0.2094 0.1943
O: 0.1425 0.4583 0.9772
O: 0.1685 0.4802 0.2546

Formation enthalpy at 0 K in meV/atom: -2618
DFT total energy in eV for the cell shown: -812.76
E (MP2020) in eV for the cell shown: -875.760

=====

Which mass density belongs to each record? In order, 2.37, 3.01 g/cm³.